Run a
LiCuPO4 | the Materials Project database | PBE-GGA | relaxed; symmetry = Pbcn; spin magnetization = 0.14 μB/atom
1.0
-3.520 1.514 1.878
0.190 -3.385 3.084
8.459 8.603 8.920
P O Li Cu
4 16 4 4
Cartesian
5.333 2.740 7.787
3.316 2.478 4.218
-0.656 -0.805 4.265
5.785 7.536 9.617
2.190 1.524 4.719
5.203 2.799 9.338
-1.949 -1.541 4.708
1.154 3.563 6.714
0.552 -1.321 5.103
-0.365 -1.086 2.767
5.998 6.007 9.404
2.170 2.808 9.227
7.078 8.273 9.174
4.577 8.052 8.779
3.975 3.168 7.168
5.494 7.817 11.115
-0.074 3.932 4.544
-0.869 0.724 4.478
2.959 3.924 4.655
2.939 5.207 9.163
0.427 2.086 3.966
4.702 4.645 9.916
6.416 5.631 7.487
2.232 -0.413 4.517
0.649 -0.235 1.405
2.011 1.908 7.078
8.000 5.453 10.600
3.118 4.823 6.804

Run b
LiCuPO4 | the Materials Project database | PBE-GGA | relaxed; symmetry = P6_1; spin magnetization = 0.14 μB/atom
1.0
-2.895 7.949 -5.154
1.482 -8.633 -4.627
-22.658 -5.864 3.684
O Li Cu P
96 24 24 24
Cartesian
-9.772 -2.946 -0.845
-5.477 1.310 -3.529
-6.473 -5.379 -4.922
-14.378 -2.890 -3.953
-21.891 -2.912 0.592
-6.325 -6.351 -2.622
-23.009 -4.694 -1.884
-9.790 -5.605 -5.452
-20.361 -8.090 1.625
-18.878 -3.921 -6.226
-10.868 -8.775 -1.261
-5.571 -3.954 -2.990
-24.433 0.884 -1.487
-10.243 3.214 -5.181
-2.669 -6.477 -5.290
-16.448 1.211 -1.613
-17.534 -4.361 -0.448
-11.279 -0.418 -6.492
-23.816 -3.797 -4.108
-4.459 -1.393 -2.336
-0.147 -3.880 -4.407
-22.225 -9.022 -3.082
-8.061 1.055 -2.378
-6.442 0.290 -0.608
-10.823 -4.381 -2.626
-19.987 -12.871 -1.895
-14.717 -3.157 1.048
-3.842 4.707 -3.387
-1.172 2.291 -1.650
-21.858 -7.413 -1.201
-16.568 -1.454 0.729
-8.246 -1.613 -7.491
-4.253 -0.068 -5.268
-4.093 -2.029 -8.001
-7.594 -1.420 -2.134
-12.692 -9.304 -3.936
-18.344 -2.554 -3.133
-16.234 -2.251 -5.666
-16.203 -0.216 -3.688
-2.198 -1.718 -3.363
-9.024 -2.433 -5.221
-11.360 -1.502 -3.409
-16.404 -4.325 -4.283
-20.621 -3.209 -2.283
-22.620 -5.403 0.836
-23.549 -1.447 -1.319
-21.988 -5.592 -4.002
-19.823 -5.351 -0.100
-2.975 1.504 -3.735
-9.902 -7.528 -3.253
-13.642 -7.406 -1.449
-15.734 2.253 -3.845
-2.874 4.900 -6.516
-11.077 1.046 -3.500
-8.908 -0.132 -0.335
-12.205 -3.572 -0.693
-13.387 -6.057 -3.616
-2.925 -3.026 -1.230
-19.192 -1.582 -0.916
-5.741 -2.769 0.218
-6.553 -2.192 -5.647
-19.076 -5.801 -3.541
-18.219 -8.174 -3.360
-16.352 -9.346 -0.974
-14.677 -4.152 -6.151
-10.407 -5.378 -0.339
-20.214 -0.836 -3.074
-9.482 -9.980 -3.010
-9.067 3.631 -3.015
-4.726 -4.376 -7.278
-15.089 -2.160 -1.212
-20.090 -7.692 -4.961
-2.390 -0.583 -1.085
-8.063 -0.099 -5.511
-13.391 0.058 -3.403
-15.614 -7.087 -3.052
-20.390 -9.508 -1.394
-17.765 -6.873 -5.467
-12.138 -6.054 -6.197
-3.349 -7.296 -2.947
-7.777 2.783 -5.114
-17.645 -10.863 -2.653
-3.257 -2.906 -5.816
-18.097 1.428 -3.577
-8.022 -4.523 -3.071
-18.172 -10.887 -0.210
-0.920 -6.881 -3.458
-11.866 -0.120 -1.386
-12.185 4.226 -2.885
-17.835 -6.922 -0.289
-4.470 2.400 -5.617
-14.734 -5.165 -1.656
-2.524 -4.949 -3.279
-11.645 -3.784 -5.277
-18.116 -5.528 1.766
-1.688 -0.342 -7.059
-1.293 -0.122 -4.234
-19.261 -9.975 -3.451
-3.790 -4.794 -1.632
-13.407 -3.570 -7.553
-0.644 -0.385 -0.174
-17.669 -1.078 -4.890
-16.234 -3.987 -2.016
-11.573 -7.799 -4.812
-16.076 -8.107 -4.717
-4.833 -1.783 -4.570
-9.750 2.149 -1.843
-18.670 -8.831 0.688
-14.325 0.935 -4.946
-0.047 -4.974 -2.728
-19.620 -4.933 2.855
-20.567 -5.214 -2.337
-9.536 -2.931 -8.126
-9.950 1.106 -6.046
-7.231 6.464 -4.393
-5.848 2.114 -1.729
-14.372 -12.373 -2.106
-1.941 3.983 -3.002
-12.613 -3.795 -3.516
-8.910 -2.734 -2.882
-19.724 0.971 -2.568
-2.813 1.215 -1.782
-9.549 -5.670 -3.372
-4.310 4.348 -5.283
-6.448 -4.035 -6.379
-10.937 -1.961 -5.291
-20.035 -11.319 -0.675
-5.214 -7.743 -3.388
-21.932 -7.530 -4.285
-18.101 -2.637 0.360
-22.341 -2.902 -1.454
-12.686 -9.065 -1.964
-17.066 -7.599 -1.883
-18.361 -4.130 -4.332
-14.747 -1.181 -2.799
-10.559 -1.197 -0.443
-13.737 -4.643 -0.077
-11.854 2.747 -4.152
-13.970 -5.877 -5.500
-5.975 -2.486 -1.722
-21.165 -6.665 0.499
-7.272 0.982 -4.171
-3.649 -0.175 -7.107
-2.038 -3.481 -4.483
-23.305 -5.059 -3.366
-4.289 1.309 -4.536
-17.018 -10.700 -1.237
-7.751 -0.083 -1.365
-18.803 -7.108 -4.329
-8.892 3.676 -4.561
-11.914 -0.135 -2.945
-3.594 -3.311 -7.274
-9.647 -8.652 -2.215
-7.958 -1.579 -5.963
-2.374 -6.417 -3.769
-2.963 -1.695 -2.036
-22.432 -4.012 1.511
-14.329 -6.446 -2.448
-18.314 -5.539 0.223
-11.032 -4.967 -6.082
-21.809 -8.911 -1.583
-15.395 -3.375 -4.990
-15.126 -1.852 0.307
-24.178 -0.420 -2.296
-16.627 1.181 -3.153
-6.594 -5.037 -3.419
-19.577 -2.054 -2.337
-10.801 -4.086 -1.100

Name the most stable of them. run a.